1.
A geometry-optimized ZnS structure. Source: the Materials Project, functional PBE-GGA.

Values from the calculation:
**Total DFT energy (no corrections)**: -3.5087 eV per atom
**Volume**: 20.2 A^3/atom

Unit cell a=3.8529 b=3.8529 c=75.5804 alpha=90.00 beta=90.00 gamma=120.00
With the nearest neighbours (Å) after each atom.
Atoms (fractional coordinates):
Zn 0.0000 0.0000 0.0000  4 S 2.36
Zn 0.0000 0.0000 0.0833  4 S 2.36
Zn 0.0000 0.0000 0.1667  4 S 2.36
Zn 0.0000 0.0000 0.2917  4 S 2.36
Zn 0.0000 0.0000 0.4167  4 S 2.36
Zn 0.0000 0.0000 0.5417  4 S 2.36
Zn 0.0000 0.0000 0.6667  4 S 2.36
Zn 0.0000 0.0000 0.7917  4 S 2.36
Zn 0.0000 0.0000 0.9167  4 S 2.36
Zn 0.3333 0.6667 0.0417  4 S 2.36
Zn 0.3333 0.6667 0.2083  4 S 2.36
Zn 0.3333 0.6667 0.3333  4 S 2.36
Zn 0.3333 0.6667 0.5000  4 S 2.36
Zn 0.3333 0.6667 0.5833  4 S 2.36
Zn 0.3333 0.6667 0.7500  4 S 2.36
Zn 0.3333 0.6667 0.8750  4 S 2.36
Zn 0.6667 0.3333 0.1250  4 S 2.36
Zn 0.6667 0.3333 0.2500  4 S 2.36
Zn 0.6667 0.3333 0.3750  4 S 2.36
Zn 0.6667 0.3333 0.4583  4 S 2.36
Zn 0.6667 0.3333 0.6250  4 S 2.36
Zn 0.6667 0.3333 0.7083  4 S 2.36
Zn 0.6667 0.3333 0.8333  4 S 2.36
Zn 0.6667 0.3333 0.9583  4 S 2.36
S 0.0000 0.0000 0.0312  4 Zn 2.36
S 0.0000 0.0000 0.1146  4 Zn 2.36
S 0.0000 0.0000 0.1979  4 Zn 2.36
S 0.0000 0.0000 0.3229  4 Zn 2.36
S 0.0000 0.0000 0.4479  4 Zn 2.36
S 0.0000 0.0000 0.5729  4 Zn 2.36
S 0.0000 0.0000 0.6979  4 Zn 2.36
S 0.0000 0.0000 0.8229  4 Zn 2.36
S 0.0000 0.0000 0.9479  4 Zn 2.36
S 0.3333 0.6667 0.0729  4 Zn 2.36
S 0.3333 0.6667 0.2396  4 Zn 2.36
S 0.3333 0.6667 0.3646  4 Zn 2.36
S 0.3333 0.6667 0.5312  4 Zn 2.36
S 0.3333 0.6667 0.6146  4 Zn 2.36
S 0.3333 0.6667 0.7812  4 Zn 2.36
S 0.3333 0.6667 0.9062  4 Zn 2.36
S 0.6667 0.3333 0.1563  4 Zn 2.36
S 0.6667 0.3333 0.2812  4 Zn 2.36
S 0.6667 0.3333 0.4062  4 Zn 2.36
S 0.6667 0.3333 0.4896  4 Zn 2.36
S 0.6667 0.3333 0.6562  4 Zn 2.36
S 0.6667 0.3333 0.7396  4 Zn 2.36
S 0.6667 0.3333 0.8646  4 Zn 2.36
S 0.6667 0.3333 0.9896  4 Zn 2.36

=====

2.
A geometry-optimized ZnS structure. Source: the Materials Project, functional PBE-GGA.

Values from the calculation:
**Total DFT energy (no corrections)**: -3.4957 eV per atom
**Volume**: 20.2 A^3/atom

Unit cell a=3.8488 b=3.8488 c=81.8460 alpha=90.00 beta=90.00 gamma=120.00
With the nearest neighbours (Å) after each atom.
Atoms (fractional coordinates):
Zn 0.0000 0.0000 0.0000  4 S 2.36-2.37
Zn 0.0000 0.0000 0.0775  3 S 2.36
Zn 0.0000 0.0000 0.1539  4 S 2.36
Zn 0.0000 0.0000 0.2692  4 S 2.36-2.37
Zn 0.0000 0.0000 0.3846  4 S 2.36
Zn 0.0000 0.0000 0.5000  4 S 2.36
Zn 0.0000 0.0000 0.6539  4 S 2.36
Zn 0.0000 0.0000 0.7692  4 S 2.36-2.37
Zn 0.0000 0.0000 0.8846  4 S 2.36-2.37
Zn 0.3333 0.6667 0.0386  4 S 2.36-2.38
Zn 0.3333 0.6667 0.1155  4 S 2.36-2.39
Zn 0.3333 0.6667 0.2308  4 S 2.36
Zn 0.3333 0.6667 0.3077  4 S 2.36
Zn 0.3333 0.6667 0.4231  4 S 2.36
Zn 0.3333 0.6667 0.5384  4 S 2.36
Zn 0.3333 0.6667 0.6154  4 S 2.36
Zn 0.3333 0.6667 0.7308  4 S 2.36
Zn 0.3333 0.6667 0.8077  4 S 2.36
Zn 0.3333 0.6667 0.9615  4 S 2.36
Zn 0.6667 0.3333 0.1923  4 S 2.36
Zn 0.6667 0.3333 0.3462  4 S 2.36
Zn 0.6667 0.3333 0.4615  4 S 2.36
Zn 0.6667 0.3333 0.5769  4 S 2.36-2.37
Zn 0.6667 0.3333 0.6923  4 S 2.36
Zn 0.6667 0.3333 0.8461  4 S 2.36
Zn 0.6667 0.3333 0.9231  4 S 2.36
S 0.0000 0.0000 0.0289  4 Zn 2.36-2.37
S 0.0000 0.0000 0.1827  4 Zn 2.36
S 0.0000 0.0000 0.2981  4 Zn 2.36-2.37
S 0.0000 0.0000 0.4135  4 Zn 2.36
S 0.0000 0.0000 0.5289  4 Zn 2.36
S 0.0000 0.0000 0.6827  4 Zn 2.36
S 0.0000 0.0000 0.7981  4 Zn 2.36-2.37
S 0.0000 0.0000 0.9135  4 Zn 2.36-2.37
S 0.3333 0.6667 0.0677  4 Zn 2.36-2.38
S 0.3333 0.6667 0.1443  4 Zn 2.36
S 0.3333 0.6667 0.2596  4 Zn 2.36
S 0.3333 0.6667 0.3366  4 Zn 2.36
S 0.3333 0.6667 0.4520  4 Zn 2.36
S 0.3333 0.6667 0.5673  4 Zn 2.36
S 0.3333 0.6667 0.6443  4 Zn 2.36
S 0.3333 0.6667 0.7596  4 Zn 2.36
S 0.3333 0.6667 0.8366  4 Zn 2.36
S 0.3333 0.6667 0.9904  4 Zn 2.36
S 0.6667 0.3333 0.1046  3 Zn 2.39
S 0.6667 0.3333 0.2212  4 Zn 2.36
S 0.6667 0.3333 0.3750  4 Zn 2.36
S 0.6667 0.3333 0.4904  4 Zn 2.36
S 0.6667 0.3333 0.6058  4 Zn 2.36-2.37
S 0.6667 0.3333 0.7212  4 Zn 2.36
S 0.6667 0.3333 0.8750  4 Zn 2.36
S 0.6667 0.3333 0.9520  4 Zn 2.36

=====

3.
A geometry-optimized ZnS structure. Source: the Materials Project, functional PBE-GGA.

Values from the calculation:
**Total DFT energy (no corrections)**: -3.0818 eV per atom
**Volume**: 23.3 A^3/atom

Unit cell a=12.7568 b=12.9072 c=14.1593 alpha=89.86 beta=86.87 gamma=88.54
With the nearest neighbours (Å) after each atom.
Atoms (fractional coordinates):
Zn 0.0000 0.0000 0.0000  3 S 2.24-2.31
Zn 0.0006 0.2263 0.6542  2 S 2.29-2.33, 2 Zn 2.45-2.55
Zn 0.0496 0.4987 0.6914  3 S 2.27-2.30
Zn 0.0594 0.7840 0.7706  2 S 2.32-2.47, 1 Zn 2.47
Zn 0.0715 0.4623 0.4704  4 S 2.25-2.45
Zn 0.0732 0.2260 0.1182  3 S 2.27-2.48
Zn 0.1158 0.3671 0.8798  4 S 2.28-2.38
Zn 0.1192 0.9742 0.2132  3 S 2.24-2.29
Zn 0.1347 0.5137 0.2024  2 S 2.31-2.32, 1 Zn 2.56
Zn 0.1509 0.2193 0.3230  4 S 2.34-2.57
Zn 0.1717 0.5745 0.0320  2 S 2.32-2.41, 2 Zn 2.50-2.56
Zn 0.1885 0.9229 0.7478  2 S 2.29-2.51, 1 Zn 2.47
Zn 0.2292 0.0916 0.5946  3 S 2.19-2.40
Zn 0.2312 0.9513 0.4313  3 S 2.31-2.41
Zn 0.2378 0.5943 0.5533  3 S 2.25-2.34
Zn 0.2502 0.0615 0.9681  4 S 2.29-2.43
Zn 0.2774 0.5884 0.8311  4 S 2.33-2.45
Zn 0.2907 0.3424 0.6223  4 S 2.28-2.50
Zn 0.3158 0.8244 0.9625  2 S 2.39-2.43, 1 Zn 2.65
Zn 0.3860 0.3086 0.9799  4 S 2.29-2.41
Zn 0.3899 0.4191 0.1989  4 S 2.35-2.60
Zn 0.4252 0.6796 0.3304  2 S 2.30-2.31
Zn 0.4375 0.1424 0.2787  3 S 2.29-2.43
Zn 0.4427 0.9859 0.6225  1 S 2.33, 1 Zn 2.41
Zn 0.4540 0.5557 0.5334  3 S 2.25-2.34
Zn 0.4571 0.7144 0.0533  3 S 2.56-2.77, 2 Zn 2.65-2.83
Zn 0.4799 0.0656 0.0560  3 S 2.21-2.28
Zn 0.5301 0.4504 0.9006  3 S 2.31-2.41
Zn 0.5391 0.8536 0.9155  3 S 2.36-2.54
Zn 0.5590 0.3963 0.7000  4 S 2.29-2.47
Zn 0.5682 0.6727 0.7719  3 S 2.24-2.32
Zn 0.5679 0.8225 0.1959  2 S 2.48-2.52, 1 Zn 2.50
Zn 0.5971 0.0756 0.5666  2 S 2.31-2.48, 1 Zn 2.41
Zn 0.6236 0.1885 0.8758  3 S 2.26-2.30
Zn 0.6305 0.3315 0.1699  4 S 2.33-2.40
Zn 0.6327 0.7325 0.4701  3 S 2.28-2.33
Zn 0.7135 0.0431 0.0812  4 S 2.32-2.60
Zn 0.7153 0.8906 0.3339  3 S 2.25-2.43
Zn 0.7220 0.6996 0.1734  2 S 2.35-2.41, 1 Zn 2.50
Zn 0.7324 0.8804 0.6959  3 S 2.33-2.36
Zn 0.7377 0.4764 0.4525  2 S 2.25-2.34
Zn 0.8043 0.2082 0.6937  3 S 2.38-2.54, 2 Zn 2.55-2.64
Zn 0.8076 0.6358 0.6537  3 S 2.29-2.38
Zn 0.8467 0.8174 0.9334  3 S 2.29-2.31
Zn 0.8613 0.3409 0.9356  3 S 2.20-2.27
Zn 0.8825 0.3049 0.5419  2 S 2.32-2.34, 1 Zn 2.45
Zn 0.9103 0.4777 0.3515  3 S 2.31-2.44, 1 Zn 2.56
Zn 0.9914 0.5119 0.0743  2 S 2.29-2.30, 1 Zn 2.50
Zn 0.9925 0.9804 0.7153  2 S 2.34-2.36
Zn 0.9949 0.7564 0.3281  3 S 2.29-2.35
S 0.0003 0.1200 0.8794  1 S 2.11, 1 Zn 2.30
S 0.0303 0.1229 0.2439  3 Zn 2.24-2.34
S 0.0559 0.0743 0.5815  3 Zn 2.24-2.36
S 0.0622 0.5863 0.3411  4 Zn 2.31-2.44
S 0.1182 0.1979 0.9472  1 S 2.11
S 0.1199 0.3371 0.7166  4 Zn 2.28-2.50
S 0.1468 0.8515 0.3255  3 Zn 2.28-2.32
S 0.1552 0.9367 0.0568  3 Zn 2.29-2.36
S 0.1619 0.6336 0.7037  4 Zn 2.30-2.47
S 0.1767 0.7126 0.9272  3 Zn 2.32-2.41
S 0.2021 0.3454 0.2027  2 Zn 2.32-2.43
S 0.2438 0.4322 0.4865  3 Zn 2.25-2.34
S 0.2596 0.4399 0.9379  4 Zn 2.28-2.45
S 0.2847 0.9122 0.5885  4 Zn 2.33-2.51
S 0.2890 0.1140 0.3795  3 Zn 2.34-2.37
S 0.3201 0.9619 0.8450  3 Zn 2.29-2.43
S 0.3373 0.1666 0.0680  3 Zn 2.21-2.31
S 0.3558 0.1796 0.6511  2 Zn 2.19-2.28
S 0.3567 0.6998 0.4834  3 Zn 2.25-2.34
S 0.3746 0.6091 0.1906  3 Zn 2.31-2.56
S 0.4020 0.4754 0.6685  3 Zn 2.25-2.37
S 0.4458 0.6096 0.8835  3 Zn 2.31-2.33
S 0.4836 0.2892 0.8299  4 Zn 2.30-2.47
S 0.4967 0.3078 0.2864  3 Zn 2.29-2.35
S 0.5138 0.3993 0.0579  4 Zn 2.32-2.49
S 0.5363 0.8392 0.3724  3 Zn 2.33-2.52
S 0.5490 0.0144 0.1934  3 Zn 2.27-2.48
S 0.5572 0.8487 0.7489  3 Zn 2.30-2.36
S 0.5897 0.5675 0.4242  3 Zn 2.25-2.32
S 0.6116 0.0288 0.9452  4 Zn 2.28-2.51
S 0.6356 0.6864 0.9575  1 S 2.09
S 0.6377 0.2548 0.6115  1 S 2.11
S 0.6682 0.5398 0.7135  3 Zn 2.24-2.36
S 0.7135 0.4965 0.1624  1 S 2.05
S 0.7159 0.2997 0.4837  1 S 2.11, 2 Zn 2.32-2.34
S 0.7396 0.0618 0.3488  1 S 2.04, 1 Zn 2.25
S 0.7465 0.3042 0.8312  3 Zn 2.20-2.38
S 0.7544 0.0271 0.4883  1 S 2.04
S 0.7613 0.1998 0.1488  1 S 2.07
S 0.7647 0.7761 0.5630  3 Zn 2.28-2.33
S 0.7827 0.6756 0.0151  1 S 2.09, 1 Zn 2.31
S 0.8158 0.0293 0.7417  3 Zn 2.33-2.41
S 0.8185 0.7464 0.3079  3 Zn 2.27-2.41
S 0.8546 0.9262 0.0608  3 Zn 2.24-2.32
S 0.8675 0.4975 0.1961  1 S 2.05, 1 Zn 2.29
S 0.8790 0.7633 0.7805  2 Zn 2.29-2.32
S 0.8897 0.2610 0.0745  1 S 2.07, 1 Zn 2.26
S 0.9254 0.5092 0.5828  3 Zn 2.27-2.45
S 0.9705 0.4768 0.9171  3 Zn 2.27-2.34
S 0.9950 0.3190 0.4062  4 Zn 2.32-2.57

=====

4.
A geometry-optimized ZnS structure. Source: the Materials Project, functional PBE-GGA.

Values from the calculation:
**Total DFT energy (no corrections)**: -3.4972 eV per atom
**Volume**: 20.4 A^3/atom

Unit cell a=56.5570 b=56.5570 c=56.5570 alpha=3.93 beta=3.93 gamma=3.93
With the nearest neighbours (Å) after each atom.
Atoms (fractional coordinates):
Zn 0.0000 0.0000 0.0000  4 S 2.35-2.37
Zn 0.0370 0.0370 0.0370  4 S 2.35-2.37
Zn 0.0926 0.0926 0.0926  4 S 2.35-2.37
Zn 0.1481 0.1481 0.1481  4 S 2.35-2.37
Zn 0.1852 0.1852 0.1852  4 S 2.35-2.37
Zn 0.2407 0.2407 0.2407  4 S 2.35-2.37
Zn 0.2963 0.2963 0.2963  4 S 2.35-2.37
Zn 0.3518 0.3518 0.3518  4 S 2.35-2.37
Zn 0.3889 0.3889 0.3889  4 S 2.35-2.37
Zn 0.4630 0.4630 0.4630  4 S 2.35-2.37
Zn 0.5000 0.5000 0.5000  4 S 2.35-2.37
Zn 0.5556 0.5556 0.5556  4 S 2.35-2.37
Zn 0.6111 0.6111 0.6111  4 S 2.35-2.37
Zn 0.6482 0.6482 0.6482  4 S 2.35-2.37
Zn 0.7407 0.7407 0.7407  4 S 2.35-2.37
Zn 0.7778 0.7778 0.7778  4 S 2.35-2.37
Zn 0.8704 0.8704 0.8704  4 S 2.35-2.37
Zn 0.9259 0.9259 0.9259  4 S 2.35-2.37
S 0.0139 0.0139 0.0139  4 Zn 2.35-2.37
S 0.0509 0.0509 0.0509  4 Zn 2.35-2.37
S 0.1065 0.1065 0.1065  4 Zn 2.35-2.37
S 0.1620 0.1620 0.1620  4 Zn 2.35-2.37
S 0.1991 0.1991 0.1991  4 Zn 2.35-2.37
S 0.2546 0.2546 0.2546  4 Zn 2.35-2.37
S 0.3102 0.3102 0.3102  4 Zn 2.35-2.37
S 0.3657 0.3657 0.3657  4 Zn 2.35-2.37
S 0.4028 0.4028 0.4028  4 Zn 2.35-2.37
S 0.4768 0.4768 0.4768  4 Zn 2.35-2.37
S 0.5139 0.5139 0.5139  4 Zn 2.35-2.37
S 0.5694 0.5694 0.5694  4 Zn 2.35-2.37
S 0.6250 0.6250 0.6250  4 Zn 2.35-2.37
S 0.6620 0.6620 0.6620  4 Zn 2.35-2.37
S 0.7546 0.7546 0.7546  4 Zn 2.35-2.37
S 0.7916 0.7916 0.7916  4 Zn 2.35-2.37
S 0.8842 0.8842 0.8842  4 Zn 2.35-2.37
S 0.9398 0.9398 0.9398  4 Zn 2.35-2.37